1.
# Na2Nb2Ga2Si3S3O24

Na2Nb2Ga2Si3S3O24 after structural relaxation (PBE, the Materials Project).

Geometry as CIF:
```
data_Na2Nb2Ga2Si3S3O24
_symmetry_space_group_name_H-M 'P 1'
_symmetry_Int_Tables_number 1
_symmetry_space_group_name_Hall 'P 1'
_cell_length_a 8.728
_cell_length_b 8.747
_cell_length_c 22.688
_cell_angle_alpha 89.48
_cell_angle_beta 89.27
_cell_angle_gamma 60.39
loop_
_atom_site_label
_atom_site_fract_x
_atom_site_fract_y
_atom_site_fract_z
Na1 0.000 0.000 0.000
Na2 0.016 0.999 0.497
Na3 0.334 0.334 0.334
Na4 0.352 0.329 0.828
Na5 0.666 0.659 0.657
Na6 0.689 0.658 0.166
Nb1 0.012 0.985 0.846
Nb2 0.024 0.974 0.351
Nb3 0.335 0.318 0.181
Nb4 0.353 0.324 0.675
Nb5 0.666 0.644 0.513
Nb6 0.694 0.637 0.018
Ga1 0.034 0.985 0.633
Ga2 0.350 0.316 0.471
Ga3 0.366 0.305 0.977
Ga4 0.653 0.646 0.805
Ga5 0.704 0.636 0.310
Ga6 0.987 0.995 0.138
Si1 0.075 0.298 0.072
Si2 0.302 0.701 0.738
Si3 0.347 0.035 0.572
Si4 0.405 0.635 0.404
Si5 0.638 0.034 0.074
Si6 0.649 0.300 0.572
Si7 0.664 0.367 0.908
Si8 0.979 0.367 0.408
Si9 0.999 0.707 0.240
S1 0.007 0.282 0.742
S2 0.057 0.613 0.574
S3 0.303 0.979 0.240
S4 0.340 0.611 0.074
S5 0.394 0.943 0.907
S6 0.674 0.942 0.407
S7 0.724 0.279 0.241
S8 0.725 0.979 0.742
S9 0.967 0.648 0.906
O1 0.031 0.169 0.796
O2 0.034 0.798 0.298
O3 0.036 0.788 0.583
O4 0.046 0.134 0.085
O5 0.141 0.500 0.629
O6 0.142 0.498 0.913
O7 0.150 0.351 0.131
O8 0.163 0.536 0.522
O9 0.173 0.291 0.739
O10 0.174 0.334 0.416
O11 0.178 0.799 0.799
O12 0.179 0.293 0.013
O13 0.181 0.005 0.579
O14 0.184 0.509 0.233
O15 0.192 0.014 0.295
O16 0.192 0.788 0.081
O17 0.198 0.825 0.684
O18 0.206 0.820 0.400
O19 0.212 0.958 0.901
O20 0.218 0.964 0.187
O21 0.315 0.158 0.516
O22 0.315 0.533 0.020
O23 0.317 0.505 0.737
O24 0.318 0.147 0.237
O25 0.365 0.123 0.911
O26 0.369 0.132 0.633
O27 0.374 0.473 0.415
O28 0.376 0.499 0.127
O29 0.470 0.835 0.960
O30 0.478 0.686 0.465
O31 0.479 0.830 0.247
O32 0.490 0.348 0.916
O33 0.495 0.684 0.745
O34 0.500 0.864 0.853
O35 0.506 0.626 0.068
O36 0.512 0.128 0.132
O37 0.513 0.629 0.346
O38 0.517 0.352 0.633
O39 0.524 0.119 0.412
O40 0.532 0.843 0.569
O41 0.546 0.142 0.740
O42 0.546 0.292 0.235
O43 0.550 0.286 0.516
O44 0.560 0.146 0.015
O45 0.648 0.479 0.850
O46 0.648 0.839 0.065
O47 0.653 0.863 0.353
O48 0.661 0.484 0.571
O49 0.699 0.458 0.245
O50 0.703 0.461 0.965
O51 0.709 0.821 0.753
O52 0.709 0.834 0.461
O53 0.805 0.170 0.294
O54 0.807 0.012 0.796
O55 0.828 0.682 0.248
O56 0.828 0.959 0.690
O57 0.830 0.202 0.187
O58 0.834 0.132 0.588
O59 0.835 0.001 0.080
O60 0.839 0.961 0.402
O61 0.846 0.462 0.466
O62 0.847 0.170 0.900
O63 0.856 0.461 0.750
O64 0.857 0.683 0.961
O65 0.875 0.483 0.067
O66 0.880 0.634 0.853
O67 0.881 0.626 0.572
O68 0.898 0.479 0.349
O69 0.977 0.205 0.690
O70 0.982 0.815 0.902
O71 0.983 0.174 0.399
O72 0.987 0.819 0.182
```

Values from the calculation:
total magnetic moment: 0.00 μB/f.u.
energy: -6.9155 eV/atom
theoretical density: 3.10 g/cm3
ΔH_f (0 K): -2.475 eV per atom

2.
# Nd2ScSi2

Nd2ScSi2 after structural relaxation (PBE, the Materials Project).

Geometry as CIF:
```
data_Nd2ScSi2
_symmetry_space_group_name_H-M 'P 4/m b m'
_symmetry_Int_Tables_number 127
_symmetry_space_group_name_Hall '-P 4 2ab'
_cell_length_a 7.391
_cell_length_b 7.391
_cell_length_c 4.419
_cell_angle_alpha 90.00
_cell_angle_beta 90.00
_cell_angle_gamma 90.00
loop_
_atom_site_label
_atom_site_fract_x
_atom_site_fract_y
_atom_site_fract_z
Nd1 0.178 0.322 0.000
Sc1 0.000 0.000 0.500
Si1 0.118 0.618 0.500
```

Values from the calculation:
energy: -6.0517 eV/atom
theoretical density: 5.36 g/cm3
ΔH_f (0 K): -0.679 eV per atom

3.
# Li3N2

Li3N2 after structural relaxation (PBE, the Materials Project).

Geometry as CIF:
```
data_Li3N2
_symmetry_space_group_name_H-M 'P -4 m 2'
_symmetry_Int_Tables_number 115
_symmetry_space_group_name_Hall 'P -4 -2'
_cell_length_a 3.523
_cell_length_b 3.523
_cell_length_c 4.680
_cell_angle_alpha 90.00
_cell_angle_beta 90.00
_cell_angle_gamma 90.00
loop_
_atom_site_label
_atom_site_fract_x
_atom_site_fract_y
_atom_site_fract_z
Li1 0.000 0.000 0.000
Li2 0.000 0.000 0.500
Li3 0.500 0.500 0.000
N1 0.000 0.500 0.219
```

Values from the calculation:
total magnetic moment: 3.00 μB/f.u.
energy: -4.0166 eV/atom
theoretical density: 1.40 g/cm3
ΔH_f (0 K): 0.319 eV per atom

4.
# Al2Se3O12

Al2Se3O12 after structural relaxation (PBE, the Materials Project).

Geometry as CIF:
```
data_Al2Se3O12
_symmetry_space_group_name_H-M 'R 3 c'
_symmetry_Int_Tables_number 161
_symmetry_space_group_name_Hall 'R 3 -2"c'
_cell_length_a 9.2591
_cell_length_b 9.2591
_cell_length_c 19.8497
_cell_angle_alpha 90.00
_cell_angle_beta 90.00
_cell_angle_gamma 120.00
loop_
_atom_site_label
_atom_site_fract_x
_atom_site_fract_y
_atom_site_fract_z
Al1 0.0000 0.0000 0.0000
Al2 0.0000 0.0000 0.2313
Se1 0.1494 0.3797 0.2800
O1 0.0341 0.1656 0.4366
O2 0.0567 0.1890 0.7864
O3 0.1824 0.4707 0.7113
O4 0.1883 0.4774 0.8443
```

Values from the calculation:
ΔE to the lowest computed polymorph: 411.6 meV/atom
total magnetic moment: 6.00 μB/f.u.
energy: -5.4146 eV/atom
theoretical density: 3.26 g/cm3
ΔH_f (0 K): -1.349 eV per atom

> Number 3 is which compound?

Li3N2

> What is the theoretical density in the first record?

3.10 g/cm3